Record 1
The following is a DFT calculation (PBE) of an optimized crystal structure of Li3InB2O6.

Cell: 5.253 9.047 11.469 Å, 90.00 116.13 90.00°
Fractional coordinates of all 48 atoms:
Li  0.015  0.025  0.173
Li  0.015  0.475  0.673
Li  0.051  0.657  0.882
Li  0.051  0.843  0.382
Li  0.422  0.014  0.596
Li  0.422  0.486  0.096
Li  0.578  0.514  0.904
Li  0.578  0.986  0.404
Li  0.949  0.157  0.618
Li  0.949  0.343  0.118
Li  0.985  0.525  0.327
Li  0.985  0.975  0.827
In  0.473  0.672  0.623
In  0.473  0.828  0.123
In  0.527  0.172  0.877
In  0.527  0.328  0.377
B  0.044  0.173  0.381
B  0.044  0.327  0.881
B  0.465  0.169  0.131
B  0.465  0.331  0.631
B  0.535  0.669  0.369
B  0.535  0.831  0.869
B  0.956  0.673  0.119
B  0.956  0.827  0.619
O  0.101  0.185  0.849
O  0.101  0.315  0.349
O  0.182  0.655  0.088
O  0.182  0.845  0.588
O  0.204  0.052  0.381
O  0.204  0.448  0.881
O  0.319  0.670  0.409
O  0.319  0.830  0.909
O  0.339  0.039  0.141
O  0.339  0.461  0.641
O  0.370  0.200  0.664
O  0.370  0.300  0.164
O  0.630  0.700  0.836
O  0.630  0.800  0.336
O  0.661  0.539  0.359
O  0.661  0.961  0.859
O  0.681  0.170  0.091
O  0.681  0.330  0.591
O  0.796  0.552  0.119
O  0.796  0.948  0.619
O  0.818  0.155  0.412
O  0.818  0.345  0.912
O  0.899  0.685  0.651
O  0.899  0.815  0.151

raw total energy	-311.1	eV per cell
formation energy	-2.5301	eV/atom
space group	P2_1/c


Record 2
The following is a DFT calculation (PBE) of an optimized crystal structure of MgTi2O4.

Cell: 6.117 6.117 20.015 Å, 99.99 99.99 57.93°
Fractional coordinates of all 56 atoms:
Mg  0.000  0.000  0.000
Mg  0.260  0.260  0.749
Mg  0.384  0.384  0.625
Mg  0.506  0.506  0.498
Mg  0.543  0.543  0.093
Mg  0.627  0.627  0.370
Mg  0.749  0.749  0.248
Mg  0.789  0.789  0.844
Ti  0.000  0.514  0.498
Ti  0.014  0.501  0.996
Ti  0.037  0.037  0.589
Ti  0.136  0.136  0.876
Ti  0.231  0.774  0.243
Ti  0.232  0.232  0.151
Ti  0.244  0.784  0.753
Ti  0.288  0.288  0.339
Ti  0.481  0.481  0.902
Ti  0.501  0.014  0.996
Ti  0.514  0.000  0.498
Ti  0.727  0.727  0.659
Ti  0.774  0.231  0.243
Ti  0.784  0.244  0.753
Ti  0.888  0.888  0.126
Ti  0.978  0.978  0.406
O  0.058  0.582  0.187
O  0.070  0.070  0.687
O  0.078  0.078  0.181
O  0.083  0.572  0.689
O  0.169  0.693  0.060
O  0.190  0.190  0.055
O  0.198  0.198  0.560
O  0.198  0.678  0.558
O  0.314  0.832  0.938
O  0.320  0.320  0.436
O  0.327  0.327  0.934
O  0.335  0.818  0.438
O  0.421  0.952  0.809
O  0.441  0.934  0.309
O  0.444  0.444  0.308
O  0.444  0.444  0.806
O  0.564  0.564  0.194
O  0.567  0.567  0.688
O  0.572  0.083  0.689
O  0.582  0.058  0.187
O  0.678  0.198  0.558
O  0.693  0.169  0.060
O  0.694  0.694  0.561
O  0.708  0.708  0.058
O  0.816  0.816  0.943
O  0.817  0.817  0.436
O  0.818  0.335  0.438
O  0.832  0.314  0.938
O  0.934  0.441  0.309
O  0.941  0.941  0.308
O  0.950  0.950  0.813
O  0.952  0.421  0.809

offset from the most stable computed form	45	meV per atom
raw total energy	-453.4	eV per cell
formation energy	-3.1764	eV/atom
space group	Cm


Record 3
The following is a DFT calculation (PBE) of an optimized crystal structure of LiThAu2.

Cell: 5.010 5.010 5.010 Å, 60.00 60.00 60.00°
Fractional coordinates of all 4 atoms:
Li  0.000  0.000  0.000
Th  0.500  0.500  0.500
Au  0.250  0.250  0.250
Au  0.750  0.750  0.750

raw total energy	-18.3	eV per cell
formation energy	-0.6074	eV/atom
space group	Fm-3m


> raw total energy of number 2 (MgTi2O4)?

-453.4 eV per cell


> The lowest raw total energy belongs to which entry?

MgTi2O4


> formation energy of number 3 (LiThAu2)?

-0.6074 eV/atom